# Cr2HgSe4

A relaxed structure of Cr2HgSe4 (GGA-PBE, Materials Project).

The value obtained for the formation energy is -5.060 eV per formula unit. For the final energy, the calculation gives -5.252 eV/atom. As for the space group: Fd-3m (227).

```
14
Lattice="0.0000 5.4533 5.4533 5.4533 0.0000 5.4533 5.4533 5.4533 0.0000" Properties=species:S:1:pos:R:3 pbc="T T T"
Cr 0.0000 0.0000 0.0000
Cr 2.7266 2.7266 0.0000
Cr 2.7266 0.0000 2.7266
Cr 0.0000 2.7266 2.7266
Hg 4.0900 4.0900 4.0900
Hg 6.8166 6.8166 6.8166
Se 8.3616 5.2717 5.2717
Se 2.5450 2.5450 2.5450
Se 5.6349 5.6349 2.5450
Se 5.6349 2.5450 5.6349
Se 5.2717 8.3616 5.2717
Se 5.2717 5.2717 8.3616
Se 8.3616 8.3616 8.3616
Se 2.5450 5.6349 5.6349
```